# SrFeO2F

Crystalline SrFeO2F at its relaxed geometry (GGA+U, the Materials Project database).

The structure in POSCAR format:
```
SrFeO2F
1.0
4.030 -3.931 0.000
4.030 3.931 0.000
-4.006 0.000 4.055
Sr Fe O F
2 2 4 2
direct
0.246 0.246 0.012
0.754 0.754 0.988
0.000 0.500 0.500
0.500 0.000 0.500
0.188 0.188 0.406
0.268 0.732 0.500
0.732 0.268 0.500
0.812 0.812 0.594
0.300 0.700 0.000
0.700 0.300 0.000
```

Calculated values
Total magnetization: 5.0 μB per formula unit
Final energy: -6.19 eV per atom
ΔE_f: -2618 meV/atom

---

# Li3Cr2P3O12

Crystalline Li3Cr2P3O12 at its relaxed geometry (GGA+U, the Materials Project database).

The structure in POSCAR format:
```
Li3Cr2P3O12
1.0
8.455 0.000 0.000
0.000 8.725 0.000
-8.366 0.000 12.000
Li Cr P O
12 8 12 48
direct
0.001 0.218 0.324
0.001 0.282 0.824
0.276 0.512 0.845
0.276 0.988 0.345
0.392 0.588 0.310
0.392 0.912 0.810
0.608 0.088 0.190
0.608 0.412 0.690
0.724 0.012 0.655
0.724 0.488 0.155
0.999 0.718 0.176
0.999 0.782 0.676
0.135 0.535 0.389
0.135 0.965 0.889
0.354 0.527 0.107
0.354 0.973 0.607
0.646 0.027 0.393
0.646 0.473 0.893
0.865 0.035 0.111
0.865 0.465 0.611
0.035 0.112 0.646
0.035 0.388 0.146
0.261 0.617 0.650
0.261 0.883 0.150
0.452 0.249 0.991
0.452 0.251 0.491
0.548 0.749 0.509
0.548 0.751 0.009
0.739 0.117 0.850
0.739 0.383 0.350
0.965 0.612 0.854
0.965 0.888 0.354
0.015 0.230 0.188
0.015 0.270 0.688
0.119 0.505 0.245
0.119 0.995 0.745
0.123 0.576 0.687
0.123 0.924 0.187
0.163 0.115 0.604
0.163 0.385 0.104
0.166 0.581 0.528
0.166 0.919 0.028
0.173 0.550 0.941
0.173 0.950 0.441
0.249 0.177 0.936
0.249 0.323 0.436
0.286 0.705 0.168
0.286 0.795 0.668
0.390 0.627 0.444
0.390 0.873 0.944
0.451 0.526 0.725
0.451 0.974 0.225
0.456 0.167 0.398
0.456 0.333 0.898
0.488 0.138 0.583
0.488 0.362 0.083
0.512 0.638 0.917
0.512 0.862 0.417
0.544 0.667 0.102
0.544 0.833 0.602
0.549 0.026 0.775
0.549 0.474 0.275
0.610 0.127 0.056
0.610 0.373 0.556
0.714 0.205 0.332
0.714 0.295 0.832
0.751 0.677 0.564
0.751 0.823 0.064
0.827 0.050 0.559
0.827 0.450 0.059
0.834 0.081 0.972
0.834 0.419 0.472
0.837 0.615 0.896
0.837 0.885 0.396
0.877 0.076 0.813
0.877 0.424 0.313
0.881 0.005 0.255
0.881 0.495 0.755
0.985 0.730 0.312
0.985 0.770 0.812
```

Calculated values
Total magnetization: 6.0 μB per formula unit
Final energy: -7.08 eV per atom
ΔE_f: -2664 meV/atom
Energy relative to the lowest polymorph listed for this composition: 4 meV/atom

---

# Li4V3P8O29

Crystalline Li4V3P8O29 at its relaxed geometry (GGA+U, the Materials Project database).

The structure in POSCAR format:
```
Li4V3P8O29
1.0
9.756 0.000 0.000
-4.866 8.487 0.000
-0.007 -0.050 14.263
Li V P O
8 6 16 58
direct
0.000 0.000 0.000
0.005 0.414 0.496
0.137 0.009 0.497
0.142 0.565 0.000
0.305 0.355 0.052
0.319 0.647 0.607
0.454 0.246 0.618
0.903 0.237 0.117
0.228 0.766 0.810
0.234 0.902 0.299
0.660 0.763 0.307
0.663 0.336 0.808
0.793 0.330 0.309
0.794 0.896 0.806
0.001 0.422 0.715
0.138 0.011 0.715
0.140 0.557 0.214
0.315 0.111 0.895
0.319 0.652 0.394
0.456 0.641 0.900
0.458 0.241 0.400
0.538 0.417 0.220
0.542 0.562 0.716
0.559 0.996 0.690
0.567 0.996 0.186
0.898 0.668 0.926
0.903 0.671 0.423
0.915 0.245 0.896
0.916 0.103 0.397
0.999 0.017 0.214
0.001 0.099 0.124
0.001 0.348 0.624
0.004 0.330 0.983
0.007 0.098 0.478
0.019 0.130 0.300
0.022 0.330 0.804
0.046 0.659 0.883
0.052 0.818 0.378
0.130 0.852 0.737
0.138 0.714 0.229
0.143 0.991 0.220
0.150 0.591 0.723
0.216 0.551 0.124
0.221 0.081 0.625
0.227 0.124 0.977
0.230 0.540 0.304
0.230 0.575 0.482
0.237 0.129 0.799
0.309 0.073 0.390
0.311 0.950 0.885
0.315 0.676 0.894
0.326 0.810 0.375
0.410 0.849 0.737
0.417 0.999 0.230
0.436 0.540 0.807
0.438 0.335 0.138
0.438 0.546 0.984
0.440 0.339 0.316
0.461 0.310 0.493
0.463 0.576 0.631
0.486 0.674 0.392
0.487 0.246 0.889
0.552 0.973 0.587
0.560 0.148 0.723
0.561 0.848 0.235
0.561 0.985 0.082
0.565 0.416 0.716
0.573 0.591 0.228
0.608 0.228 0.379
0.615 0.797 0.887
0.695 0.416 0.228
0.704 0.992 0.739
0.706 0.713 0.737
0.719 0.143 0.224
0.749 0.527 0.884
0.756 0.951 0.379
0.757 0.237 0.883
0.757 0.673 0.379
0.845 0.860 0.228
0.849 0.430 0.735
0.893 0.249 0.398
0.894 0.075 0.894
0.902 0.518 0.387
0.907 0.824 0.885
0.912 0.685 0.528
0.920 0.682 0.030
0.970 0.989 0.724
0.971 0.414 0.220
```

Calculated values
Total magnetization: 1.0 μB per formula unit
Final energy: -7.04 eV per atom
ΔE_f: -2574 meV/atom
Energy relative to the lowest polymorph listed for this composition: 10 meV/atom

---

# K2NiP4O12

Crystalline K2NiP4O12 at its relaxed geometry (GGA+U, the Materials Project database).

The structure in POSCAR format:
```
K2NiP4O12
1.0
5.593 -6.346 0.000
5.593 6.346 0.000
-1.704 0.000 7.584
K Ni P O
4 2 8 24
direct
0.126 0.874 0.500
0.564 0.834 0.317
0.834 0.564 0.817
0.874 0.126 0.000
0.208 0.516 0.154
0.516 0.208 0.654
0.183 0.330 0.745
0.190 0.867 0.984
0.330 0.183 0.245
0.402 0.553 0.590
0.498 0.871 0.828
0.553 0.402 0.090
0.867 0.190 0.484
0.871 0.498 0.328
0.021 0.853 0.889
0.052 0.243 0.576
0.097 0.377 0.898
0.219 0.307 0.259
0.233 0.759 0.117
0.243 0.052 0.076
0.250 0.496 0.682
0.305 0.854 0.833
0.307 0.219 0.759
0.340 0.632 0.438
0.377 0.097 0.398
0.423 0.507 0.066
0.496 0.250 0.182
0.507 0.423 0.566
0.513 0.687 0.745
0.531 0.975 0.690
0.601 0.910 0.005
0.632 0.340 0.938
0.687 0.513 0.245
0.759 0.233 0.617
0.853 0.021 0.389
0.854 0.305 0.333
0.910 0.601 0.505
0.975 0.531 0.190
```

Calculated values
Total magnetization: 2.0 μB per formula unit
Final energy: -6.66 eV per atom
ΔE_f: -2546 meV/atom

---

# Fe2Cu8P4O21

Crystalline Fe2Cu8P4O21 at its relaxed geometry (GGA+U, the Materials Project database).

The structure in POSCAR format:
```
Fe2Cu8P4O21
1.0
8.085 -3.024 0.000
8.085 3.024 0.000
-3.941 0.000 8.796
Fe Cu P O
2 8 4 21
direct
0.000 0.500 0.000
0.500 0.000 0.000
0.032 0.032 0.815
0.127 0.640 0.549
0.130 0.130 0.136
0.360 0.873 0.451
0.640 0.127 0.549
0.870 0.870 0.864
0.873 0.360 0.451
0.968 0.968 0.185
0.270 0.270 0.721
0.418 0.418 0.288
0.582 0.582 0.712
0.730 0.730 0.279
0.000 0.000 0.000
0.076 0.495 0.822
0.100 0.100 0.308
0.161 0.161 0.949
0.168 0.168 0.604
0.262 0.687 0.308
0.313 0.738 0.692
0.336 0.336 0.642
0.340 0.340 0.123
0.378 0.378 0.411
0.495 0.076 0.822
0.505 0.924 0.178
0.622 0.622 0.589
0.660 0.660 0.877
0.664 0.664 0.358
0.687 0.262 0.308
0.738 0.313 0.692
0.832 0.832 0.396
0.839 0.839 0.051
0.900 0.900 0.692
0.924 0.505 0.178
```

Calculated values
Total magnetization: 12.3 μB per formula unit
Final energy: -6.20 eV per atom
ΔE_f: -1732 meV/atom

---

# CaV2O4

Crystalline CaV2O4 at its relaxed geometry (GGA+U, the Materials Project database).

The structure in POSCAR format:
```
CaV2O4
1.0
5.461 -3.146 0.000
5.461 3.146 0.000
-0.039 0.000 15.475
Ca V O
6 12 24
direct
0.000 0.000 0.000
0.000 0.000 0.243
0.333 0.333 0.333
0.333 0.333 0.581
0.334 0.334 0.956
0.667 0.667 0.665
0.000 0.000 0.618
0.004 0.498 0.125
0.163 0.163 0.786
0.165 0.675 0.786
0.333 0.834 0.455
0.498 0.004 0.125
0.498 0.498 0.125
0.667 0.667 0.290
0.667 0.667 0.911
0.675 0.165 0.786
0.832 0.832 0.455
0.834 0.333 0.455
0.001 0.504 0.859
0.006 0.006 0.388
0.140 0.710 0.530
0.142 0.142 0.535
0.182 0.635 0.059
0.183 0.183 0.059
0.283 0.864 0.709
0.334 0.334 0.193
0.334 0.334 0.725
0.388 0.805 0.200
0.500 0.500 0.859
0.504 0.001 0.859
0.520 0.955 0.382
0.526 0.526 0.375
0.635 0.182 0.059
0.660 0.660 0.522
0.666 0.666 0.036
0.710 0.140 0.530
0.805 0.388 0.200
0.806 0.806 0.201
0.859 0.859 0.707
0.864 0.283 0.709
0.955 0.520 0.382
0.999 0.999 0.853
```

Calculated values
Total magnetization: 4.0 μB per formula unit
Final energy: -7.59 eV per atom
ΔE_f: -2759 meV/atom
Energy relative to the lowest polymorph listed for this composition: 43 meV/atom

---

# Mg14NiCO16

Crystalline Mg14NiCO16 at its relaxed geometry (GGA+U, the Materials Project database).

The structure in POSCAR format:
```
Mg14NiCO16
1.0
8.499 0.000 0.000
0.000 8.499 0.000
0.000 0.000 4.234
Mg Ni C O
14 1 1 16
direct
0.000 0.247 0.000
0.000 0.500 0.500
0.000 0.753 0.000
0.247 0.000 0.000
0.249 0.249 0.500
0.249 0.751 0.500
0.251 0.500 0.000
0.500 0.000 0.500
0.500 0.251 0.000
0.500 0.749 0.000
0.749 0.500 0.000
0.751 0.249 0.500
0.751 0.751 0.500
0.753 0.000 0.000
0.500 0.500 0.500
0.000 0.000 0.500
0.000 0.000 0.000
0.000 0.251 0.500
0.000 0.500 0.000
0.000 0.749 0.500
0.249 0.500 0.500
0.250 0.250 0.000
0.250 0.750 0.000
0.251 0.000 0.500
0.500 0.000 0.000
0.500 0.249 0.500
0.500 0.500 0.000
0.500 0.751 0.500
0.749 0.000 0.500
0.750 0.250 0.000
0.750 0.750 0.000
0.751 0.500 0.500
```

Calculated values
Total magnetization: 2.0 μB per formula unit
Final energy: -5.83 eV per atom
ΔE_f: -2612 meV/atom

---

# CaCo2O5

Crystalline CaCo2O5 at its relaxed geometry (GGA+U, the Materials Project database).

The structure in POSCAR format:
```
CaCo2O5
1.0
1.861 -5.555 0.000
1.861 5.555 0.000
0.000 0.000 11.190
Ca Co O
2 4 10
direct
0.099 0.901 0.750
0.901 0.099 0.250
0.210 0.790 0.095
0.210 0.790 0.405
0.790 0.210 0.595
0.790 0.210 0.905
0.062 0.938 0.120
0.062 0.938 0.380
0.222 0.778 0.571
0.222 0.778 0.929
0.279 0.721 0.250
0.721 0.279 0.750
0.778 0.222 0.071
0.778 0.222 0.429
0.938 0.062 0.620
0.938 0.062 0.880
```

Calculated values
Total magnetization: 6.0 μB per formula unit
Final energy: -5.81 eV per atom
ΔE_f: -1532 meV/atom
Energy relative to the lowest polymorph listed for this composition: 83 meV/atom

---

# Sr4Y2Fe6O15

Crystalline Sr4Y2Fe6O15 at its relaxed geometry (GGA+U, the Materials Project database).

The structure in POSCAR format:
```
Sr4Y2Fe6O15
1.0
0.000 3.948 11.689
3.860 0.000 11.689
3.860 3.948 0.000
Sr Y Fe O
4 2 6 15
direct
0.155 0.684 0.316
0.316 0.845 0.155
0.684 0.155 0.845
0.845 0.316 0.684
0.000 0.500 0.500
0.500 0.000 0.000
0.086 0.575 0.914
0.253 0.747 0.747
0.425 0.914 0.575
0.575 0.086 0.425
0.747 0.253 0.253
0.914 0.425 0.086
0.000 0.000 0.000
0.000 0.000 0.500
0.183 0.183 0.817
0.188 0.188 0.312
0.190 0.635 0.810
0.303 0.303 0.697
0.312 0.312 0.188
0.365 0.810 0.635
0.500 0.500 0.000
0.635 0.190 0.365
0.688 0.688 0.812
0.697 0.697 0.303
0.810 0.365 0.190
0.812 0.812 0.688
0.817 0.817 0.183
```

Calculated values
Total magnetization: 28.0 μB per formula unit
Final energy: -6.94 eV per atom
ΔE_f: -2462 meV/atom

---

Please write out number 4 again, unchanged.
# K2NiP4O12

Crystalline K2NiP4O12 at its relaxed geometry (GGA+U, the Materials Project database).

The structure in POSCAR format:
```
K2NiP4O12
1.0
5.593 -6.346 0.000
5.593 6.346 0.000
-1.704 0.000 7.584
K Ni P O
4 2 8 24
direct
0.126 0.874 0.500
0.564 0.834 0.317
0.834 0.564 0.817
0.874 0.126 0.000
0.208 0.516 0.154
0.516 0.208 0.654
0.183 0.330 0.745
0.190 0.867 0.984
0.330 0.183 0.245
0.402 0.553 0.590
0.498 0.871 0.828
0.553 0.402 0.090
0.867 0.190 0.484
0.871 0.498 0.328
0.021 0.853 0.889
0.052 0.243 0.576
0.097 0.377 0.898
0.219 0.307 0.259
0.233 0.759 0.117
0.243 0.052 0.076
0.250 0.496 0.682
0.305 0.854 0.833
0.307 0.219 0.759
0.340 0.632 0.438
0.377 0.097 0.398
0.423 0.507 0.066
0.496 0.250 0.182
0.507 0.423 0.566
0.513 0.687 0.745
0.531 0.975 0.690
0.601 0.910 0.005
0.632 0.340 0.938
0.687 0.513 0.245
0.759 0.233 0.617
0.853 0.021 0.389
0.854 0.305 0.333
0.910 0.601 0.505
0.975 0.531 0.190
```

Calculated values
Total magnetization: 2.0 μB per formula unit
Final energy: -6.66 eV per atom
ΔE_f: -2546 meV/atom

---

total magnetization of number 6 (CaV2O4)? 4.0 μB per formula unit

---

The lowest ΔE_f belongs to which entry? CaV2O4